No. 1
This record from the Materials Project describes a relaxed Na30Mg16Nb8Si15S21O144 crystal. The functional is GGA-PBE.

Computed properties:
Crystal system: triclinic

Cell lengths 8.9885, 15.5684, 22.3327 Å; angles 89.81, 89.99, 89.94 degrees
Positions (direct):
Na (0.0000, 0.0000, 0.0000)
Na (0.0052, 0.6694, 0.6620)
Na (0.0253, 0.7037, 0.3273)
Na (0.0366, 0.3570, 0.9984)
Na (0.1404, 0.8590, 0.5010)
Na (0.1744, 0.1696, 0.1582)
Na (0.1754, 0.4992, 0.5012)
Na (0.2002, 0.1945, 0.4996)
Na (0.3321, 0.3568, 0.4192)
Na (0.3325, 0.6838, 0.2480)
Na (0.3377, 0.3470, 0.9198)
Na (0.3400, 0.0160, 0.5944)
Na (0.3456, 0.6851, 0.7513)
Na (0.3548, 0.0177, 0.0930)
Na (0.4717, 0.1955, 0.0060)
Na (0.5015, 0.4980, 0.0000)
Na (0.5258, 0.2042, 0.3260)
Na (0.5363, 0.8599, 0.9992)
Na (0.6412, 0.3588, 0.5003)
Na (0.6530, 0.7042, 0.8296)
Na (0.6745, 0.6694, 0.1589)
Na (0.6771, 0.9974, 0.5002)
Na (0.7081, 0.6955, 0.5078)
Na (0.8228, 0.5172, 0.5952)
Na (0.8322, 0.1846, 0.2475)
Na (0.8329, 0.8540, 0.4208)
Na (0.8386, 0.1823, 0.7559)
Na (0.8465, 0.8564, 0.9209)
Na (0.8549, 0.5171, 0.0937)
Na (0.9717, 0.6961, 0.0067)
Mg (0.3334, 0.6811, 0.8998)
Mg (0.3371, 0.3477, 0.7673)
Mg (0.3398, 0.0169, 0.7315)
Mg (0.3398, 0.3489, 0.5643)
Mg (0.3424, 0.3458, 0.0641)
Mg (0.3442, 0.0155, 0.2281)
Mg (0.3442, 0.6811, 0.3994)
Mg (0.3481, 0.3496, 0.2601)
Mg (0.8307, 0.8513, 0.7626)
Mg (0.8328, 0.5147, 0.7290)
Mg (0.8364, 0.8460, 0.5645)
Mg (0.8372, 0.1815, 0.8987)
Mg (0.8414, 0.8463, 0.0640)
Mg (0.8425, 0.1825, 0.3996)
Mg (0.8441, 0.5153, 0.2285)
Mg (0.8475, 0.8490, 0.2604)
Nb (0.3249, 0.6842, 0.0970)
Nb (0.3355, 0.0188, 0.9369)
Nb (0.3387, 0.0153, 0.4379)
Nb (0.3533, 0.6837, 0.5984)
Nb (0.8245, 0.1836, 0.0973)
Nb (0.8391, 0.1829, 0.5977)
Nb (0.8401, 0.5153, 0.9372)
Nb (0.8402, 0.5162, 0.4382)
Si (0.0526, 0.6856, 0.4944)
Si (0.1244, 0.1859, 0.9971)
Si (0.1884, 0.8290, 0.9933)
Si (0.1980, 0.5345, 0.9938)
Si (0.4800, 0.5351, 0.4938)
Si (0.4868, 0.1997, 0.1679)
Si (0.4894, 0.8274, 0.4939)
Si (0.5479, 0.1851, 0.4925)
Si (0.6264, 0.6850, 0.9939)
Si (0.6882, 0.3271, 0.9928)
Si (0.6938, 0.7004, 0.6679)
Si (0.6965, 0.0351, 0.9930)
Si (0.9797, 0.0360, 0.4956)
Si (0.9863, 0.6998, 0.1678)
Si (0.9889, 0.3274, 0.4956)
S (0.0442, 0.3486, 0.1655)
S (0.0456, 0.0156, 0.8282)
S (0.1326, 0.5143, 0.3297)
S (0.1349, 0.8515, 0.6650)
S (0.1883, 0.1624, 0.3299)
S (0.1900, 0.2014, 0.6650)
S (0.1933, 0.8721, 0.3297)
S (0.1936, 0.4958, 0.6655)
S (0.4849, 0.1632, 0.8283)
S (0.4858, 0.4988, 0.1650)
S (0.4858, 0.8713, 0.8300)
S (0.5443, 0.8484, 0.1653)
S (0.5449, 0.5143, 0.8297)
S (0.6318, 0.0145, 0.3301)
S (0.6327, 0.3462, 0.6652)
S (0.6884, 0.6622, 0.3296)
S (0.6896, 0.9998, 0.6645)
S (0.6933, 0.3717, 0.3300)
S (0.9853, 0.3707, 0.8281)
S (0.9858, 0.9985, 0.1654)
S (0.9899, 0.6627, 0.8289)
O (0.0111, 0.5327, 0.9876)
O (0.0182, 0.8520, 0.0060)
O (0.0200, 0.1940, 0.6615)
O (0.0204, 0.2037, 0.9415)
O (0.0266, 0.1616, 0.0592)
O (0.0267, 0.1697, 0.3351)
O (0.0282, 0.8665, 0.3322)
O (0.0292, 0.5073, 0.6701)
O (0.0290, 0.5221, 0.2797)
O (0.0345, 0.8410, 0.7165)
O (0.0370, 0.5071, 0.3875)
O (0.0530, 0.8618, 0.6081)
O (0.1271, 0.3595, 0.1090)
O (0.1449, 0.0087, 0.8852)
O (0.1448, 0.3388, 0.2175)
O (0.1454, 0.6998, 0.4344)
O (0.1465, 0.0215, 0.7769)
O (0.1502, 0.0089, 0.1707)
O (0.1499, 0.3656, 0.8278)
O (0.1516, 0.6702, 0.8337)
O (0.1561, 0.6624, 0.5547)
O (0.1596, 0.3486, 0.5091)
O (0.1667, 0.0341, 0.4887)
O (0.1758, 0.6906, 0.1585)
O (0.2090, 0.7658, 0.9389)
O (0.2144, 0.6037, 0.0519)
O (0.2197, 0.5949, 0.3326)
O (0.2232, 0.7672, 0.6622)
O (0.2236, 0.2547, 0.7171)
O (0.2255, 0.4365, 0.3282)
O (0.2272, 0.4511, 0.6088)
O (0.2275, 0.0945, 0.9886)
O (0.2281, 0.1124, 0.2769)
O (0.2369, 0.9219, 0.3867)
O (0.2407, 0.9239, 0.6714)
O (0.2420, 0.2621, 0.0057)
O (0.2445, 0.2399, 0.6084)
O (0.2502, 0.4396, 0.0100)
O (0.2495, 0.9195, 0.2784)
O (0.2520, 0.1129, 0.6700)
O (0.2537, 0.1139, 0.3850)
O (0.2580, 0.4523, 0.7175)
O (0.2582, 0.5867, 0.6631)
O (0.2598, 0.7851, 0.3320)
O (0.2653, 0.2470, 0.3320)
O (0.2780, 0.7851, 0.0532)
O (0.2801, 0.9230, 0.9880)
O (0.2827, 0.5729, 0.9380)
O (0.3947, 0.5728, 0.4379)
O (0.3963, 0.9218, 0.4897)
O (0.4006, 0.7840, 0.5536)
O (0.4104, 0.2481, 0.8280)
O (0.4124, 0.1037, 0.1710)
O (0.4179, 0.2455, 0.1091)
O (0.4202, 0.4579, 0.2182)
O (0.4199, 0.7842, 0.8319)
O (0.4233, 0.5899, 0.1626)
O (0.4236, 0.1168, 0.8848)
O (0.4272, 0.4395, 0.5089)
O (0.4301, 0.9176, 0.7776)
O (0.4330, 0.2604, 0.5078)
O (0.4373, 0.9195, 0.1721)
O (0.4431, 0.9209, 0.8863)
O (0.4447, 0.1106, 0.7767)
O (0.4503, 0.0930, 0.4891)
O (0.4524, 0.4366, 0.8278)
O (0.4517, 0.4536, 0.1091)
O (0.4571, 0.5947, 0.8326)
O (0.4584, 0.7638, 0.1625)
O (0.4629, 0.6032, 0.5522)
O (0.4653, 0.2529, 0.2300)
O (0.4676, 0.7661, 0.4386)
O (0.5033, 0.6905, 0.6586)
O (0.5097, 0.0330, 0.9872)
O (0.5187, 0.3510, 0.0059)
O (0.5220, 0.6623, 0.0542)
O (0.5263, 0.0126, 0.6700)
O (0.5269, 0.6696, 0.3347)
O (0.5283, 0.3659, 0.3322)
O (0.5286, 0.0227, 0.2799)
O (0.5332, 0.6996, 0.9340)
O (0.5355, 0.0076, 0.3877)
O (0.5350, 0.3366, 0.7173)
O (0.5485, 0.3549, 0.6085)
O (0.6273, 0.8594, 0.1089)
O (0.6388, 0.2041, 0.4327)
O (0.6408, 0.5069, 0.8869)
O (0.6445, 0.8383, 0.2174)
O (0.6473, 0.1698, 0.8326)
O (0.6476, 0.5226, 0.7791)
O (0.6505, 0.5091, 0.1704)
O (0.6513, 0.8650, 0.8314)
O (0.6596, 0.8509, 0.5058)
O (0.6649, 0.1630, 0.5500)
O (0.6669, 0.5320, 0.4880)
O (0.6766, 0.1902, 0.1594)
O (0.7069, 0.2647, 0.9381)
O (0.7142, 0.1037, 0.0517)
O (0.7165, 0.7547, 0.7289)
O (0.7193, 0.0952, 0.3334)
O (0.7207, 0.9535, 0.6083)
O (0.7245, 0.9368, 0.3286)
O (0.7273, 0.2641, 0.6616)
O (0.7277, 0.6124, 0.2762)
O (0.7306, 0.5938, 0.9875)
O (0.7358, 0.4198, 0.6704)
O (0.7373, 0.4208, 0.3870)
O (0.7401, 0.7629, 0.0041)
O (0.7489, 0.4191, 0.2784)
O (0.7498, 0.9403, 0.0097)
O (0.7542, 0.6130, 0.3843)
O (0.7551, 0.9585, 0.7173)
O (0.7604, 0.2847, 0.3319)
O (0.7614, 0.0892, 0.6605)
O (0.7613, 0.7441, 0.6077)
O (0.7654, 0.7466, 0.3317)
O (0.7668, 0.6042, 0.6715)
O (0.7780, 0.2839, 0.0529)
O (0.7818, 0.0728, 0.9371)
O (0.7816, 0.4212, 0.9881)
O (0.8938, 0.0753, 0.4402)
O (0.8978, 0.2837, 0.5549)
O (0.8990, 0.4221, 0.4900)
O (0.9123, 0.6038, 0.1711)
O (0.9130, 0.7473, 0.8305)
O (0.9149, 0.2858, 0.8322)
O (0.9164, 0.7453, 0.1088)
O (0.9205, 0.9568, 0.2185)
O (0.9219, 0.0891, 0.1635)
O (0.9240, 0.6143, 0.8834)
O (0.9262, 0.4184, 0.7770)
O (0.9272, 0.9405, 0.5104)
O (0.9374, 0.4199, 0.1722)
O (0.9383, 0.7634, 0.5042)
O (0.9464, 0.4233, 0.8851)
O (0.9478, 0.5945, 0.4883)
O (0.9514, 0.6128, 0.7753)
O (0.9516, 0.9534, 0.1093)
O (0.9550, 0.0937, 0.8321)
O (0.9560, 0.9360, 0.8278)
O (0.9576, 0.2644, 0.1630)
O (0.9615, 0.1042, 0.5546)
O (0.9656, 0.7529, 0.2299)
O (0.9698, 0.2652, 0.4404)



No. 2
This record from the Materials Project describes a relaxed Na8Mg2Nb2Si5SO24 crystal. The functional is GGA-PBE.

Computed properties:
Crystal system: triclinic

Cell lengths 9.1606, 9.1623, 22.3429 Å; angles 89.97, 89.73, 60.13 degrees
Positions (direct):
Na (0.0000, 0.0000, 0.0000)
Na (0.0055, 0.9146, 0.6657)
Na (0.0246, 0.2810, 0.1837)
Na (0.2785, 0.3182, 0.6718)
Na (0.2879, 0.6727, 0.1770)
Na (0.3153, 0.9661, 0.0917)
Na (0.3173, 0.9510, 0.5805)
Na (0.3246, 0.3105, 0.3270)
Na (0.3253, 0.5865, 0.8271)
Na (0.3374, 0.6527, 0.5057)
Na (0.3543, 0.2420, 0.0006)
Na (0.6000, 0.6457, 0.0064)
Na (0.6155, 0.9818, 0.4969)
Na (0.6352, 0.9369, 0.1831)
Na (0.6489, 0.2858, 0.9177)
Na (0.6626, 0.2859, 0.4125)
Na (0.6651, 0.6608, 0.6654)
Na (0.6714, 0.5944, 0.3239)
Na (0.6752, 0.9906, 0.8327)
Na (0.9307, 0.9963, 0.3314)
Na (0.9471, 0.3168, 0.8335)
Na (0.9785, 0.6265, 0.2527)
Na (0.9844, 0.6328, 0.7443)
Na (0.9890, 0.2524, 0.4919)
Mg (0.3081, 0.9741, 0.9440)
Mg (0.3117, 0.9658, 0.4358)
Mg (0.3188, 0.9775, 0.2335)
Mg (0.6488, 0.2916, 0.7713)
Mg (0.6551, 0.2895, 0.2696)
Mg (0.9742, 0.6407, 0.6078)
Nb (0.2987, 0.9760, 0.7317)
Nb (0.6517, 0.2955, 0.0695)
Nb (0.6586, 0.2934, 0.5724)
Nb (0.9567, 0.6432, 0.4019)
Nb (0.9803, 0.6312, 0.1089)
Nb (0.9938, 0.6289, 0.9022)
Si (0.0195, 0.9671, 0.8422)
Si (0.0224, 0.2579, 0.3394)
Si (0.2809, 0.6283, 0.0059)
Si (0.3176, 0.2567, 0.8418)
Si (0.3556, 0.3014, 0.1738)
Si (0.3576, 0.5894, 0.6751)
Si (0.5983, 0.9734, 0.3391)
Si (0.6470, 0.5907, 0.1735)
Si (0.6481, 0.0029, 0.6752)
Si (0.6795, 0.6320, 0.5097)
Si (0.6906, 0.9230, 0.0040)
Si (0.9385, 0.3053, 0.6761)
Si (0.9437, 0.0023, 0.1734)
Si (0.9792, 0.3402, 0.0041)
Si (0.9855, 0.9243, 0.5085)
S (0.2745, 0.3433, 0.5065)
S (0.3107, 0.6720, 0.3399)
S (0.6057, 0.6780, 0.8391)
O (0.0075, 0.7879, 0.8414)
O (0.0123, 0.4524, 0.3486)
O (0.0134, 0.8114, 0.5663)
O (0.1058, 0.1499, 0.3992)
O (0.1140, 0.9820, 0.8998)
O (0.1228, 0.1210, 0.6762)
O (0.1283, 0.9828, 0.1737)
O (0.1335, 0.4431, 0.8417)
O (0.1388, 0.1852, 0.2796)
O (0.1429, 0.9571, 0.5004)
O (0.1442, 0.1585, 0.0037)
O (0.1464, 0.9359, 0.7813)
O (0.1548, 0.6512, 0.0616)
O (0.1559, 0.6498, 0.3456)
O (0.1647, 0.4692, 0.1632)
O (0.1715, 0.6151, 0.6661)
O (0.1761, 0.4232, 0.5604)
O (0.1824, 0.5997, 0.9460)
O (0.1925, 0.4460, 0.4520)
O (0.2820, 0.7743, 0.2858)
O (0.2884, 0.1567, 0.7816)
O (0.2977, 0.1705, 0.5021)
O (0.3011, 0.7909, 0.0006)
O (0.3274, 0.7531, 0.3943)
O (0.3416, 0.1330, 0.1711)
O (0.3453, 0.1421, 0.8993)
O (0.3503, 0.7766, 0.6776)
O (0.4290, 0.3473, 0.2314)
O (0.4441, 0.4804, 0.7333)
O (0.4462, 0.3292, 0.5083)
O (0.4611, 0.4515, 0.0075)
O (0.4610, 0.5022, 0.3359)
O (0.4699, 0.9934, 0.6781)
O (0.4719, 0.2934, 0.8350)
O (0.4775, 0.2836, 0.1135)
O (0.4797, 0.7734, 0.1724)
O (0.4848, 0.4923, 0.6146)
O (0.4936, 0.7924, 0.5005)
O (0.5014, 0.9837, 0.4008)
O (0.5080, 0.7573, 0.8935)
O (0.5100, 0.9366, 0.0012)
O (0.5237, 0.7806, 0.7845)
O (0.5351, 0.9187, 0.2801)
O (0.6152, 0.1315, 0.6150)
O (0.6274, 0.1346, 0.3355)
O (0.6299, 0.5056, 0.8349)
O (0.6327, 0.4871, 0.1126)
O (0.6718, 0.4523, 0.5096)
O (0.6750, 0.0881, 0.7330)
O (0.6825, 0.1066, 0.0076)
O (0.6889, 0.4712, 0.2307)
O (0.7749, 0.6512, 0.5657)
O (0.7777, 0.6649, 0.8403)
O (0.7932, 0.8029, 0.0612)
O (0.8023, 0.1109, 0.5103)
O (0.8025, 0.7973, 0.3457)
O (0.8037, 0.3321, 0.0069)
O (0.8060, 0.6051, 0.4488)
O (0.8064, 0.8156, 0.6676)
O (0.8176, 0.6113, 0.1639)
O (0.8175, 0.8250, 0.9449)
O (0.8241, 0.0750, 0.2313)
O (0.8273, 0.3329, 0.7344)
O (0.8278, 0.2974, 0.3360)
O (0.8343, 0.1305, 0.8359)
O (0.8415, 0.1244, 0.1132)
O (0.8468, 0.2661, 0.6164)
O (0.9520, 0.4653, 0.9450)
O (0.9594, 0.8227, 0.4495)
O (0.9618, 0.8134, 0.1631)
O (0.9801, 0.4528, 0.6644)
O (0.9962, 0.4452, 0.0607)



How do the records compare in energy of formation? In the order shown, they have -2.533; -2.751 eV/atom.
How do the records compare in energy? In the order shown, they have -6.498; -6.739 eV per atom.